(1)
First-principles (meta-GGA r2SCAN) data for crystalline NdAl10Os2 at its relaxed geometry, as listed in the Materials Project database.

Geometry as extended XYZ:
```
26
Lattice="4.547 -5.120 0.000 4.547 5.120 0.000 0.000 0.000 9.144" Properties=species:S:1:pos:R:3 pbc="T T T"
Al 4.547 3.472 5.505
Al 2.066 0.000 4.572
Al 6.584 -1.374 6.858
Al 3.191 -1.353 2.286
Al 4.547 -1.256 5.023
Al 4.547 1.256 0.451
Al 4.547 -3.472 0.933
Al 3.191 1.353 6.858
Al 4.547 3.472 8.211
Al 7.029 0.000 0.000
Al 2.511 -1.374 6.858
Al 5.904 1.353 6.858
Al 6.584 1.374 2.286
Al 7.029 0.000 4.572
Al 4.547 1.256 4.121
Al 4.547 -3.472 3.639
Al 5.904 -1.353 2.286
Al 4.547 -1.256 8.693
Al 2.511 1.374 2.286
Al 2.066 0.000 0.000
Os 2.274 -2.560 0.000
Os 2.274 -2.560 4.572
Os 2.274 2.560 0.000
Os 2.274 2.560 4.572
Nd 4.547 -3.834 6.858
Nd 4.547 3.834 2.286
```

## Properties
theoretical density = 6.2 g cm⁻³
energy relative to the elements = -0.527 eV per atom
crystal system = orthorhombic
magnetization = 0.00 μB per formula unit

(2)
First-principles (meta-GGA r2SCAN) data for crystalline NbSe2 at its relaxed geometry, as listed in the Materials Project database.

Geometry as extended XYZ:
```
12
Lattice="1.754 -3.038 0.000 1.754 3.038 0.000 0.000 0.000 26.756" Properties=species:S:1:pos:R:3 pbc="T T T"
Nb 1.754 -3.032 19.916
Nb 1.754 -1.002 13.378
Nb 1.754 -3.032 6.840
Nb 1.754 1.664 0.000
Se 1.754 1.020 5.186
Se 1.754 -1.007 8.491
Se 1.754 1.020 21.570
Se 1.754 1.025 11.711
Se 1.754 -2.387 1.671
Se 1.754 -1.007 18.265
Se 1.754 1.025 15.045
Se 1.754 -2.387 25.085
```

## Properties
theoretical density = 5.8 g cm⁻³
energy relative to the elements = -0.956 eV per atom
crystal system = orthorhombic
magnetization = 0.11 μB per formula unit

(3)
First-principles (meta-GGA r2SCAN) data for crystalline La4Ge7 at its relaxed geometry, as listed in the Materials Project database.

Geometry as extended XYZ:
```
22
Lattice="-7.628 0.396 -1.306 4.777 -5.867 1.677 -1.969 1.844 12.065" Properties=species:S:1:pos:R:3 pbc="T T T"
La -4.127 0.396 0.794
La -3.820 -4.518 6.401
La -2.948 -1.329 9.223
La -1.873 -2.297 3.213
La -0.016 -0.030 0.002
La -0.183 -4.499 8.520
La -6.011 -1.762 4.094
La 0.681 -1.386 11.463
Ge 0.085 -0.844 8.401
Ge -5.505 -1.916 7.337
Ge -0.779 -4.518 5.290
Ge -2.034 -3.806 10.994
Ge -3.172 0.542 3.809
Ge 2.402 -4.030 10.509
Ge -3.433 -1.241 5.834
Ge -7.222 0.404 1.927
Ge -4.518 -3.144 1.667
Ge -2.541 -2.227 0.055
Ge -4.526 1.346 10.116
Ge -2.332 -1.500 12.388
Ge -1.334 -2.283 6.595
Ge 1.169 -2.163 2.130
```

## Properties
theoretical density = 6.5 g cm⁻³
energy relative to the elements = -0.834 eV per atom
crystal system = orthorhombic
magnetization = 0.00 μB per formula unit

(4)
First-principles (meta-GGA r2SCAN) data for crystalline YNi at its relaxed geometry, as listed in the Materials Project database.

Geometry as extended XYZ:
```
8
Lattice="4.104 0.000 -0.002 0.000 5.451 0.000 0.004 0.000 7.169" Properties=species:S:1:pos:R:3 pbc="T T T"
Y 1.028 2.005 4.876
Y 1.027 0.721 1.293
Y 3.081 4.730 5.874
Y 3.079 3.446 2.290
Ni 1.028 4.799 3.838
Ni 3.079 0.652 3.329
Ni 3.081 2.074 6.912
Ni 1.026 3.377 0.254
```

## Properties
theoretical density = 6.1 g cm⁻³
energy relative to the elements = -0.372 eV per atom
crystal system = orthorhombic
magnetization = 0.00 μB per formula unit

(5)
First-principles (meta-GGA r2SCAN) data for crystalline Na2B4O7 at its relaxed geometry, as listed in the Materials Project database.

Geometry as extended XYZ:
```
52
Lattice="-5.901 2.512 1.103 1.111 -1.257 8.445 4.934 9.164 0.164" Properties=species:S:1:pos:R:3 pbc="T T T"
O -3.501 4.591 2.135
O 1.035 2.099 3.065
O -0.892 8.320 6.647
O -0.036 0.348 5.483
O 0.943 3.884 1.393
O 3.644 5.828 7.577
O -0.015 1.646 1.033
O 2.635 9.061 6.416
O 2.621 5.844 5.391
O 0.158 8.773 8.678
O -0.221 7.891 3.467
O -2.492 1.359 3.296
O -0.158 4.447 7.472
O -0.554 0.142 7.829
O 0.301 5.972 2.240
O -0.800 6.535 8.318
O 3.891 6.574 3.583
O -3.748 3.846 6.129
O -2.478 4.575 4.321
O 2.121 4.029 6.886
O 0.697 10.278 1.883
O 0.180 10.071 4.229
O -1.978 6.391 2.826
O -1.516 9.703 2.529
O -1.201 4.130 2.384
O 0.364 2.529 6.245
O 1.659 0.717 7.183
O 1.345 6.289 7.328
B -0.977 8.003 8.105
B -1.029 0.131 6.452
B 1.120 2.417 1.607
B 0.774 0.396 8.165
B -0.675 6.771 2.853
B -0.910 9.170 3.771
B 1.054 1.250 5.940
B 2.475 5.473 6.805
B 3.851 6.051 4.844
B -0.631 10.023 1.547
B -2.331 4.946 2.907
B 0.818 3.648 6.859
B 0.148 5.787 7.717
B -0.005 4.632 1.995
B -3.707 4.369 4.868
B 1.173 10.288 3.259
Na -1.096 2.721 4.422
Na -0.567 0.170 3.068
Na 2.607 7.818 8.397
Na 1.239 7.698 5.290
Na 0.711 10.249 6.644
Na 2.524 5.747 1.310
Na -2.464 2.601 1.315
Na -2.380 4.672 8.401
```

## Properties
theoretical density = 2.3 g cm⁻³
energy relative to the elements = -2.540 eV per atom
crystal system = triclinic
magnetization = 0.00 μB per formula unit

(6)
First-principles (meta-GGA r2SCAN) data for crystalline Ca6Cu2Sn7 at its relaxed geometry, as listed in the Materials Project database.

Geometry as extended XYZ:
```
15
Lattice="-3.782 -2.330 1.125 0.055 0.874 -7.407 6.406 -10.581 -0.399" Properties=species:S:1:pos:R:3 pbc="T T T"
Ca 1.512 -8.809 -3.881
Ca 2.459 -8.607 -0.254
Ca -2.385 -1.261 -1.310
Ca 0.220 -3.430 -6.427
Ca 5.064 -10.776 -5.371
Ca 1.167 -3.228 -2.801
Sn 0.609 -6.355 -1.813
Sn 3.203 -5.290 -0.199
Sn 4.604 -8.818 -2.828
Sn -1.925 -3.219 -3.853
Sn 2.070 -5.682 -4.869
Sn 0.715 -1.253 -0.194
Sn 1.964 -10.784 -6.487
Cu 3.291 -6.555 -2.573
Cu -0.612 -5.482 -4.108
```

## Properties
theoretical density = 5.0 g cm⁻³
energy relative to the elements = -0.615 eV per atom
crystal system = triclinic
magnetization = 0.00 μB per formula unit

(7)
First-principles (meta-GGA r2SCAN) data for crystalline Nd2TlAg at its relaxed geometry, as listed in the Materials Project database.

Geometry as extended XYZ:
```
4
Lattice="1.784 -5.106 0.133 -2.132 -3.520 3.511 -3.159 -4.016 -1.777" Properties=species:S:1:pos:R:3 pbc="T T T"
Nd -2.630 -9.481 1.400
Nd -0.877 -3.160 0.467
Ag -1.754 -6.321 0.933
Tl 0.000 0.000 0.000
```

## Properties
theoretical density = 8.9 g cm⁻³
energy relative to the elements = -0.396 eV per atom
crystal system = cubic
magnetization = 0.33 μB per formula unit

(8)
First-principles (meta-GGA r2SCAN) data for crystalline CaHoHg2 at its relaxed geometry, as listed in the Materials Project database.

Geometry as extended XYZ:
```
4
Lattice="-3.261 -2.827 2.958 -4.941 1.578 0.688 -3.926 -2.646 -2.229" Properties=species:S:1:pos:R:3 pbc="T T T"
Ca -6.064 -1.947 0.709
Hg -9.096 -2.921 1.063
Hg -3.032 -0.974 0.354
Ho 0.000 0.000 0.000
```

## Properties
theoretical density = 9.9 g cm⁻³
energy relative to the elements = -0.595 eV per atom
crystal system = cubic
magnetization = 0.00 μB per formula unit